# 1
The following is a DFT calculation (PBE) of a relaxed structure of GaCoN2.

Computed properties:
space group: Pna2_1
total DFT energy (no corrections): -6.576 eV/atom

a b c (Å): 5.498 6.314 5.029
angles (deg): 90.00 90.00 90.00
Positions (direct):
Ga  0.583  0.374  0.005
Ga  0.417  0.626  0.505
Ga  0.917  0.874  0.505
Ga  0.083  0.126  0.005
Co  0.582  0.880  0.998
Co  0.418  0.120  0.498
Co  0.918  0.380  0.498
Co  0.082  0.620  0.998
N  0.590  0.367  0.400
N  0.410  0.633  0.900
N  0.910  0.867  0.900
N  0.090  0.133  0.400
N  0.585  0.878  0.368
N  0.415  0.122  0.868
N  0.915  0.378  0.868
N  0.085  0.622  0.368

---

# 2
The following is a DFT calculation (PBE) of a relaxed structure of Hf9NiW4.

Computed properties:
space group: P6_3/mmc
total DFT energy (no corrections): -10.681 eV/atom

a b c (Å): 8.722 8.722 8.482
angles (deg): 90.00 90.00 120.00
Positions (direct):
Hf  0.199  0.801  0.441
Hf  0.199  0.399  0.441
Hf  0.601  0.801  0.441
Hf  0.801  0.199  0.559
Hf  0.801  0.601  0.559
Hf  0.399  0.199  0.559
Hf  0.801  0.199  0.941
Hf  0.801  0.601  0.941
Hf  0.399  0.199  0.941
Hf  0.199  0.801  0.059
Hf  0.199  0.399  0.059
Hf  0.601  0.801  0.059
Hf  0.541  0.459  0.250
Hf  0.541  0.082  0.250
Hf  0.918  0.459  0.250
Hf  0.459  0.541  0.750
Hf  0.459  0.918  0.750
Hf  0.082  0.541  0.750
Ni  0.333  0.667  0.250
Ni  0.667  0.333  0.750
W  0.888  0.112  0.250
W  0.888  0.777  0.250
W  0.223  0.112  0.250
W  0.112  0.888  0.750
W  0.112  0.223  0.750
W  0.777  0.888  0.750
W  0.000  0.000  0.500
W  0.000  0.000  0.000

---

# 3
The following is a DFT calculation (PBE) of a relaxed structure of Sr16Cu8BC7O40.

Computed properties:
space group: P1
total DFT energy (no corrections): -6.601 eV/atom

a b c (Å): 9.456 9.459 11.070
angles (deg): 89.39 89.58 71.58
Positions (direct):
Sr  0.629  0.129  0.752
Sr  0.641  0.146  0.250
Sr  0.378  0.380  0.497
Sr  0.118  0.118  0.490
Sr  0.388  0.384  0.007
Sr  0.136  0.618  0.255
Sr  0.882  0.365  0.247
Sr  0.126  0.114  0.004
Sr  0.146  0.645  0.751
Sr  0.886  0.884  0.005
Sr  0.614  0.613  0.998
Sr  0.856  0.354  0.749
Sr  0.889  0.887  0.501
Sr  0.372  0.868  0.744
Sr  0.618  0.612  0.497
Sr  0.355  0.859  0.248
Cu  0.750  0.249  0.499
Cu  0.004  0.998  0.249
Cu  0.499  0.494  0.250
Cu  0.754  0.248  0.999
Cu  0.250  0.749  0.999
Cu  0.501  0.497  0.749
Cu  0.001  0.001  0.750
Cu  0.252  0.748  0.500
B  0.254  0.253  0.260
C  0.249  0.254  0.738
C  0.488  0.009  0.003
C  0.008  0.490  0.995
C  0.748  0.756  0.237
C  0.754  0.749  0.760
C  0.983  0.514  0.506
C  0.511  0.986  0.499
O  0.861  0.112  0.874
O  0.871  0.121  0.625
O  0.614  0.362  0.623
O  0.315  0.159  0.655
O  0.524  0.104  0.446
O  0.605  0.021  0.056
O  0.366  0.612  0.376
O  0.372  0.302  0.225
O  0.932  0.405  0.533
O  0.155  0.333  0.348
O  0.232  0.127  0.211
O  0.882  0.128  0.374
O  0.418  0.110  0.924
O  0.373  0.620  0.124
O  0.621  0.369  0.875
O  0.640  0.385  0.373
O  0.889  0.133  0.123
O  0.103  0.419  0.077
O  0.116  0.859  0.125
O  0.816  0.660  0.155
O  0.131  0.242  0.791
O  0.302  0.361  0.764
O  0.900  0.440  0.965
O  0.637  0.380  0.123
O  0.022  0.609  0.945
O  0.100  0.527  0.560
O  0.864  0.795  0.728
O  0.438  0.900  0.027
O  0.660  0.822  0.841
O  0.736  0.631  0.712
O  0.381  0.629  0.874
O  0.913  0.613  0.427
O  0.121  0.867  0.375
O  0.138  0.887  0.874
O  0.387  0.635  0.625
O  0.606  0.917  0.581
O  0.630  0.744  0.290
O  0.801  0.862  0.264
O  0.403  0.935  0.471
O  0.131  0.881  0.625

---

# 4
The following is a DFT calculation (PBE) of a relaxed structure of CaAlF5.

Computed properties:
space group: P2_1/c
energy above the most stable polymorph in this dataset: 0.003 eV/atom

a b c (Å): 9.970 5.420 7.422
angles (deg): 70.10 90.00 90.00
Positions (direct):
Ca  0.982  0.473  0.254
Ca  0.482  0.527  0.246
Ca  0.018  0.527  0.746
Ca  0.518  0.473  0.754
Al  0.753  0.102  0.600
Al  0.253  0.898  0.900
Al  0.247  0.898  0.400
Al  0.747  0.102  0.100
F  0.619  0.348  0.512
F  0.119  0.652  0.988
F  0.381  0.652  0.488
F  0.881  0.348  0.012
F  0.784  0.135  0.341
F  0.284  0.865  0.159
F  0.216  0.865  0.659
F  0.716  0.135  0.841
F  0.388  0.120  0.818
F  0.888  0.880  0.682
F  0.612  0.880  0.182
F  0.112  0.120  0.318
F  0.636  0.843  0.641
F  0.136  0.157  0.859
F  0.364  0.157  0.359
F  0.864  0.843  0.141
F  0.376  0.626  0.945
F  0.876  0.374  0.555
F  0.624  0.374  0.055
F  0.124  0.626  0.445

---

# 5
The following is a DFT calculation (PBE) of a relaxed structure of TiS2.

Computed properties:
space group: I4/mmm
total DFT energy (no corrections): -6.218 eV/atom

a b c (Å): 5.274 5.274 5.274
angles (deg): 145.22 145.22 50.00
Positions (direct):
Ti  0.500  0.500  0.000
S  0.863  0.863  0.000
S  0.137  0.137  0.000

---

# 6
The following is a DFT calculation (PBE) of a relaxed structure of Na2NbGaSiP2O12.

Computed properties:
space group: Cc
total DFT energy (no corrections): -7.119 eV/atom

a b c (Å): 8.804 8.804 22.520
angles (deg): 89.61 90.39 119.71
Positions (direct):
Na  0.992  0.629  0.248
Na  0.371  0.008  0.748
Na  0.659  0.965  0.583
Na  0.035  0.341  0.083
Na  0.974  0.674  0.916
Na  0.326  0.026  0.416
Na  0.000  0.998  0.496
Na  0.002  0.000  0.996
Na  0.668  0.331  0.829
Na  0.669  0.332  0.329
Na  0.343  0.673  0.162
Na  0.327  0.657  0.662
Nb  0.003  0.000  0.646
Nb  0.000  0.997  0.146
Nb  0.661  0.330  0.979
Nb  0.670  0.339  0.479
Nb  0.328  0.659  0.312
Nb  0.341  0.672  0.812
Ga  0.991  0.997  0.352
Ga  0.003  0.009  0.852
Ga  0.670  0.329  0.685
Ga  0.671  0.330  0.185
Ga  0.332  0.675  0.019
Ga  0.325  0.668  0.519
Si  0.989  0.280  0.252
Si  0.720  0.011  0.752
Si  0.377  0.039  0.584
Si  0.961  0.623  0.084
Si  0.327  0.957  0.917
Si  0.043  0.673  0.417
P  0.297  0.011  0.252
P  0.711  0.709  0.251
P  0.291  0.289  0.751
P  0.989  0.703  0.752
P  0.962  0.343  0.585
P  0.660  0.617  0.585
P  0.657  0.038  0.085
P  0.383  0.340  0.085
P  0.623  0.673  0.919
P  0.049  0.373  0.918
P  0.627  0.951  0.418
P  0.327  0.377  0.419
O  0.213  0.031  0.308
O  0.830  0.789  0.305
O  0.969  0.165  0.309
O  0.211  0.170  0.805
O  0.969  0.787  0.808
O  0.835  0.031  0.809
O  0.800  0.970  0.691
O  0.171  0.200  0.695
O  0.033  0.830  0.696
O  0.800  0.829  0.195
O  0.030  0.200  0.191
O  0.170  0.967  0.196
O  0.877  0.368  0.639
O  0.498  0.126  0.642
O  0.638  0.507  0.640
O  0.874  0.502  0.142
O  0.632  0.123  0.139
O  0.493  0.362  0.140
O  0.465  0.303  0.029
O  0.836  0.533  0.024
O  0.698  0.162  0.029
O  0.467  0.164  0.524
O  0.697  0.535  0.529
O  0.838  0.302  0.529
O  0.535  0.695  0.973
O  0.154  0.454  0.975
O  0.290  0.830  0.973
O  0.546  0.846  0.475
O  0.305  0.465  0.473
O  0.170  0.710  0.473
O  0.134  0.637  0.357
O  0.503  0.868  0.363
O  0.364  0.495  0.362
O  0.132  0.497  0.863
O  0.363  0.866  0.857
O  0.505  0.636  0.862
O  0.029  0.849  0.408
O  0.809  0.976  0.411
O  0.174  0.192  0.411
O  0.024  0.191  0.911
O  0.151  0.971  0.908
O  0.808  0.826  0.911
O  0.968  0.166  0.590
O  0.183  0.023  0.590
O  0.828  0.805  0.590
O  0.977  0.817  0.090
O  0.834  0.032  0.090
O  0.195  0.172  0.090
O  0.680  0.171  0.745
O  0.473  0.309  0.743
O  0.831  0.524  0.742
O  0.691  0.527  0.243
O  0.829  0.320  0.245
O  0.476  0.169  0.242
O  0.642  0.503  0.923
O  0.864  0.365  0.923
O  0.506  0.149  0.923
O  0.635  0.136  0.423
O  0.497  0.358  0.423
O  0.851  0.494  0.423
O  0.354  0.495  0.076
O  0.150  0.634  0.077
O  0.504  0.856  0.077
O  0.366  0.850  0.577
O  0.505  0.646  0.576
O  0.144  0.496  0.577
O  0.307  0.836  0.256
O  0.530  0.698  0.256
O  0.171  0.481  0.257
O  0.302  0.470  0.756
O  0.164  0.693  0.756
O  0.519  0.829  0.757

---

# 7
The following is a DFT calculation (PBE) of a relaxed structure of MnFe4.

Computed properties:
space group: Fmmm
total DFT energy (no corrections): -8.573 eV/atom

a b c (Å): 10.235 10.136 2.443
angles (deg): 85.42 80.82 13.76
Positions (direct):
Mn  0.000  0.000  0.000
Fe  0.401  0.401  0.599
Fe  0.800  0.800  0.200
Fe  0.200  0.200  0.800
Fe  0.599  0.599  0.401

---

# 8
The following is a DFT calculation (PBE) of a relaxed structure of Al3Cu2.

Computed properties:
space group: P-3m1
total DFT energy (no corrections): -4.045 eV/atom

a b c (Å): 4.138 4.138 5.031
angles (deg): 90.00 90.00 120.00
Positions (direct):
Al  0.000  0.000  0.000
Al  0.333  0.667  0.352
Al  0.667  0.333  0.648
Cu  0.333  0.667  0.841
Cu  0.667  0.333  0.159